1.
6
Lattice="-2.131 2.131 7.866 2.131 -2.131 7.866 2.131 2.131 -7.866" Properties=species:S:1:pos:R:3 comment="PBE SmScSi, optimized geometry" ef_ev_per_atom=-0.61 density_g_cm3=5.2 dft_energy_ev_per_fu=-18.37 pbc="T T T"
Sm 0.000 0.000 2.785
Sm 0.000 0.000 12.946
Sc 2.131 0.000 0.000
Sc 0.000 2.131 0.000
Si 0.000 0.000 5.915
Si 0.000 0.000 9.817

=====

2.
8
Lattice="1.917 1.107 12.568 -1.917 1.107 12.568 0.000 -2.214 12.568" Properties=species:S:1:pos:R:3 comment="PBE Zn3FeS4, optimized geometry" ef_ev_per_atom=-0.88 density_g_cm3=3.9 dft_energy_ev_per_fu=-33.82 pbc="T T T"
Zn 0.000 0.000 0.000
Zn 0.000 0.000 9.425
Zn 0.000 0.000 18.850
Fe 0.000 0.000 28.279
S 0.000 0.000 2.363
S 0.000 0.000 11.778
S 0.000 0.000 21.204
S 0.000 0.000 30.612

=====

3.
16
Lattice="7.307 0.000 0.000 0.000 4.454 0.000 0.000 0.000 8.679" Properties=species:S:1:pos:R:3 comment="PBE LaNiSnH, optimized geometry" ef_ev_per_atom=-0.65 density_g_cm3=7.5 dft_energy_ev_per_fu=-20.54 pbc="T T T"
La 0.087 1.114 1.639
La 3.566 3.341 5.978
La 3.741 1.114 2.701
La 7.219 3.341 7.041
Ni 1.596 3.341 3.504
Ni 2.057 1.114 7.844
Ni 5.249 3.341 0.835
Ni 5.711 1.114 5.175
Sn 1.136 1.114 4.913
Sn 2.518 3.341 0.574
Sn 4.789 1.114 8.105
Sn 6.171 3.341 3.766
H 0.459 1.114 7.977
H 3.194 3.341 3.637
H 4.113 1.114 5.042
H 6.847 3.341 0.702